No. 1
This record from the Materials Project database describes an optimized crystal structure of Na3Mg4CrSi8O22F2. The functional is PBE+U.

Summary:
Total magnetization in Bohr magnetons per cell: 6.01
Energy of formation in eV/atom: -3.142
Mass density in g/cm³: 2.99
Energy in eV/atom: -7.093
Calculated volume in Å³/f.u.: 463.29
Space group: No. 2

Unit cell a=9.851 b=10.265 c=10.721 alpha=83.74 beta=76.84 gamma=61.38
Element x y z (fractional)
Na1 0.000 0.001 0.250
Na2 0.000 0.999 0.750
Na3 0.224 0.549 0.998
Na4 0.227 0.549 0.502
Na5 0.773 0.451 0.498
Na6 0.776 0.451 0.002
Mg1 0.319 0.361 0.750
Mg2 0.410 0.179 0.502
Mg3 0.411 0.179 0.998
Mg4 0.499 0.001 0.750
Mg5 0.501 0.999 0.250
Mg6 0.589 0.821 0.002
Mg7 0.590 0.821 0.498
Mg8 0.681 0.639 0.250
Cr1 0.322 0.356 0.250
Cr2 0.678 0.644 0.750
Si1 0.040 0.341 0.649
Si2 0.040 0.343 0.148
Si3 0.131 0.171 0.394
Si4 0.134 0.169 0.894
Si5 0.303 0.828 0.894
Si6 0.304 0.830 0.394
Si7 0.382 0.658 0.148
Si8 0.384 0.656 0.648
Si9 0.616 0.344 0.352
Si10 0.618 0.342 0.852
Si11 0.696 0.170 0.606
Si12 0.697 0.172 0.106
Si13 0.866 0.831 0.106
Si14 0.869 0.829 0.606
Si15 0.960 0.657 0.852
Si16 0.960 0.659 0.351
O1 0.024 0.249 0.786
O2 0.024 0.250 0.285
O3 0.034 0.244 0.535
O4 0.040 0.240 0.036
O5 0.109 0.499 0.851
O6 0.117 0.500 0.347
O7 0.155 0.000 0.399
O8 0.156 0.999 0.899
O9 0.212 0.335 0.613
O10 0.216 0.334 0.118
O11 0.274 0.750 0.286
O12 0.275 0.748 0.785
O13 0.278 0.756 0.035
O14 0.281 0.759 0.536
O15 0.300 0.174 0.354
O16 0.304 0.167 0.857
O17 0.384 0.500 0.152
O18 0.393 0.498 0.648
O19 0.449 0.335 0.382
O20 0.452 0.336 0.887
O21 0.471 0.833 0.357
O22 0.475 0.826 0.854
O23 0.525 0.174 0.146
O24 0.529 0.167 0.643
O25 0.548 0.664 0.113
O26 0.551 0.665 0.618
O27 0.607 0.502 0.352
O28 0.616 0.500 0.848
O29 0.696 0.833 0.143
O30 0.700 0.826 0.646
O31 0.719 0.241 0.464
O32 0.722 0.244 0.965
O33 0.725 0.252 0.215
O34 0.726 0.250 0.714
O35 0.784 0.666 0.882
O36 0.788 0.665 0.387
O37 0.844 0.001 0.101
O38 0.845 0.000 0.601
O39 0.883 0.500 0.653
O40 0.891 0.501 0.149
O41 0.960 0.760 0.964
O42 0.966 0.756 0.465
O43 0.976 0.750 0.715
O44 0.976 0.751 0.214
F1 0.397 0.001 0.103
F2 0.398 0.999 0.603
F3 0.602 0.001 0.397
F4 0.603 0.999 0.897



No. 2
This record from the Materials Project database describes an optimized crystal structure of Co2OF3. The functional is PBE+U.

Summary:
Total magnetization in Bohr magnetons per cell: 6.00
Energy of formation in eV/atom: -1.966
Mass density in g/cm³: 4.61
Energy in eV/atom: -5.226
Calculated volume in Å³/f.u.: 68.77
Space group: No. 8

Unit cell a=4.713 b=4.713 c=6.204 alpha=90.83 beta=90.83 gamma=93.22
Element x y z (fractional)
Co1 0.000 0.000 0.000
Co2 0.007 0.007 0.504
Co3 0.471 0.471 0.748
Co4 0.539 0.539 0.253
O1 0.173 0.173 0.734
O2 0.813 0.813 0.268
F1 0.218 0.218 0.253
F2 0.300 0.692 0.490
F3 0.304 0.691 0.009
F4 0.691 0.304 0.009
F5 0.692 0.300 0.490
F6 0.783 0.783 0.747



No. 3
This record from the Materials Project database describes an optimized crystal structure of FeNiO3. The functional is PBE+U.

Summary:
Total magnetization in Bohr magnetons per cell: 8.00
Energy of formation in eV/atom: -1.280
Mass density in g/cm³: 5.33
Energy in eV/atom: -5.728
Calculated volume in Å³/f.u.: 50.63
Space group: No. 146

Unit cell a=5.432 b=5.432 c=5.432 alpha=55.42 beta=55.42 gamma=55.42
Element x y z (fractional)
Fe1 0.000 0.000 0.000
Fe2 0.299 0.299 0.299
Ni1 0.501 0.501 0.501
Ni2 0.798 0.798 0.798
O1 0.106 0.381 0.715
O2 0.207 0.904 0.602
O3 0.381 0.715 0.106
O4 0.602 0.207 0.904
O5 0.715 0.106 0.381
O6 0.904 0.602 0.207



No. 4
This record from the Materials Project database describes an optimized crystal structure of AlBiW2O8. The functional is PBE+U.

Summary:
Total magnetization in Bohr magnetons per cell: 4.00
Energy of formation in eV/atom: -2.255
Mass density in g/cm³: 7.73
Energy in eV/atom: -7.152
Calculated volume in Å³/f.u.: 157.11
Space group: No. 13

Unit cell a=5.137 b=6.300 c=10.722 alpha=90.00 beta=115.10 gamma=90.00
Element x y z (fractional)
Al1 0.000 0.216 0.250
Al2 0.000 0.784 0.750
Bi1 0.500 0.373 0.750
Bi2 0.500 0.627 0.250
W1 0.257 0.152 0.012
W2 0.257 0.848 0.512
W3 0.743 0.152 0.488
W4 0.743 0.848 0.988
O1 0.176 0.114 0.601
O2 0.176 0.886 0.101
O3 0.189 0.329 0.157
O4 0.189 0.671 0.657
O5 0.284 0.368 0.904
O6 0.284 0.632 0.404
O7 0.309 0.080 0.381
O8 0.309 0.920 0.881
O9 0.691 0.080 0.119
O10 0.691 0.920 0.619
O11 0.716 0.368 0.596
O12 0.716 0.632 0.096
O13 0.811 0.329 0.343
O14 0.811 0.671 0.843
O15 0.824 0.114 0.899
O16 0.824 0.886 0.399



No. 5
This record from the Materials Project database describes an optimized crystal structure of Fe3P2O8. The functional is PBE+U.

Summary:
Total magnetization in Bohr magnetons per cell: 144.00
Energy of formation in eV/atom: -2.248
Mass density in g/cm³: 3.81
Energy in eV/atom: -7.137
Calculated volume in Å³/f.u.: 155.77
Space group: No. 14

Unit cell a=8.916 b=10.082 c=21.537 alpha=90.00 beta=105.09 gamma=90.00
Element x y z (fractional)
Fe1 0.002 0.215 0.042
Fe2 0.002 0.285 0.542
Fe3 0.026 0.115 0.417
Fe4 0.026 0.385 0.917
Fe5 0.077 0.582 0.283
Fe6 0.077 0.918 0.783
Fe7 0.295 0.104 0.892
Fe8 0.295 0.396 0.392
Fe9 0.298 0.614 0.756
Fe10 0.298 0.886 0.256
Fe11 0.307 0.204 0.704
Fe12 0.307 0.296 0.204
Fe13 0.351 0.122 0.075
Fe14 0.351 0.378 0.575
Fe15 0.375 0.593 0.940
Fe16 0.375 0.907 0.440
Fe17 0.376 0.721 0.141
Fe18 0.376 0.779 0.641
Fe19 0.624 0.221 0.359
Fe20 0.624 0.279 0.859
Fe21 0.625 0.093 0.560
Fe22 0.625 0.407 0.060
Fe23 0.649 0.622 0.425
Fe24 0.649 0.878 0.925
Fe25 0.693 0.704 0.796
Fe26 0.693 0.796 0.296
Fe27 0.702 0.114 0.744
Fe28 0.702 0.386 0.244
Fe29 0.705 0.604 0.608
Fe30 0.705 0.896 0.108
Fe31 0.923 0.082 0.217
Fe32 0.923 0.418 0.717
Fe33 0.974 0.615 0.083
Fe34 0.974 0.885 0.583
Fe35 0.998 0.715 0.458
Fe36 0.998 0.785 0.958
P1 0.023 0.643 0.831
P2 0.023 0.857 0.331
P3 0.073 0.576 0.606
P4 0.073 0.924 0.106
P5 0.259 0.055 0.561
P6 0.259 0.445 0.061
P7 0.278 0.130 0.328
P8 0.278 0.370 0.828
P9 0.370 0.645 0.499
P10 0.370 0.855 0.999
P11 0.433 0.568 0.282
P12 0.433 0.932 0.782
P13 0.567 0.068 0.218
P14 0.567 0.432 0.718
P15 0.630 0.145 0.001
P16 0.630 0.355 0.501
P17 0.722 0.630 0.172
P18 0.722 0.870 0.672
P19 0.741 0.555 0.939
P20 0.741 0.945 0.439
P21 0.927 0.076 0.894
P22 0.927 0.424 0.394
P23 0.977 0.143 0.669
P24 0.977 0.357 0.169
O1 0.002 0.685 0.557
O2 0.002 0.815 0.057
O3 0.055 0.031 0.862
O4 0.055 0.469 0.362
O5 0.067 0.243 0.147
O6 0.067 0.257 0.647
O7 0.103 0.057 0.715
O8 0.103 0.443 0.215
O9 0.104 0.109 0.517
O10 0.104 0.391 0.017
O11 0.116 0.563 0.889
O12 0.116 0.937 0.389
O13 0.129 0.043 0.071
O14 0.129 0.457 0.571
O15 0.135 0.711 0.795
O16 0.135 0.789 0.295
O17 0.166 0.074 0.266
O18 0.166 0.426 0.766
O19 0.194 0.200 0.375
O20 0.194 0.300 0.875
O21 0.215 0.635 0.656
O22 0.215 0.865 0.156
O23 0.219 0.570 0.097
O24 0.219 0.930 0.597
O25 0.229 0.739 0.484
O26 0.229 0.761 0.984
O27 0.323 0.534 0.325
O28 0.323 0.966 0.825
O29 0.327 0.002 0.983
O30 0.327 0.498 0.483
O31 0.329 0.168 0.608
O32 0.329 0.332 0.108
O33 0.356 0.680 0.236
O34 0.356 0.820 0.736
O35 0.376 0.021 0.521
O36 0.376 0.479 0.021
O37 0.379 0.241 0.308
O38 0.379 0.259 0.808
O39 0.386 0.015 0.360
O40 0.386 0.485 0.860
O41 0.409 0.118 0.175
O42 0.409 0.382 0.675
O43 0.456 0.653 0.573
O44 0.456 0.847 0.073
O45 0.469 0.054 0.744
O46 0.469 0.446 0.244
O47 0.473 0.706 0.457
O48 0.473 0.794 0.957
O49 0.527 0.206 0.043
O50 0.527 0.294 0.543
O51 0.531 0.554 0.756
O52 0.531 0.946 0.256
O53 0.544 0.153 0.927
O54 0.544 0.347 0.427
O55 0.591 0.618 0.325
O56 0.591 0.882 0.825
O57 0.614 0.515 0.140
O58 0.614 0.985 0.640
O59 0.621 0.741 0.192
O60 0.621 0.759 0.692
O61 0.624 0.521 0.979
O62 0.624 0.979 0.479
O63 0.644 0.180 0.264
O64 0.644 0.320 0.764
O65 0.671 0.668 0.892
O66 0.671 0.832 0.392
O67 0.673 0.502 0.517
O68 0.673 0.998 0.017
O69 0.677 0.034 0.175
O70 0.677 0.466 0.675
O71 0.771 0.239 0.016
O72 0.771 0.261 0.516
O73 0.781 0.070 0.403
O74 0.781 0.430 0.903
O75 0.785 0.135 0.844
O76 0.785 0.365 0.344
O77 0.806 0.700 0.125
O78 0.806 0.800 0.625
O79 0.834 0.574 0.234
O80 0.834 0.926 0.734
O81 0.865 0.211 0.705
O82 0.865 0.289 0.205
O83 0.871 0.543 0.429
O84 0.871 0.957 0.929
O85 0.884 0.063 0.611
O86 0.884 0.437 0.111
O87 0.896 0.609 0.983
O88 0.896 0.891 0.483
O89 0.897 0.557 0.785
O90 0.897 0.943 0.285
O91 0.933 0.743 0.353
O92 0.933 0.757 0.853
O93 0.945 0.531 0.638
O94 0.945 0.969 0.138
O95 0.998 0.185 0.943
O96 0.998 0.315 0.443



No. 6
This record from the Materials Project database describes an optimized crystal structure of MgFe2O5. The functional is PBE+U.

Summary:
Total magnetization in Bohr magnetons per cell: 16.00
Energy of formation in eV/atom: -1.626
Mass density in g/cm³: 3.27
Energy in eV/atom: -6.043
Calculated volume in Å³/f.u.: 109.76
Space group: No. 63

Unit cell a=5.639 b=5.639 c=10.931 alpha=90.00 beta=90.00 gamma=140.85
Element x y z (fractional)
Mg1 0.119 0.881 0.750
Mg2 0.881 0.119 0.250
Fe1 0.204 0.796 0.100
Fe2 0.204 0.796 0.400
Fe3 0.796 0.204 0.600
Fe4 0.796 0.204 0.900
O1 0.041 0.959 0.151
O2 0.041 0.959 0.349
O3 0.238 0.762 0.580
O4 0.238 0.762 0.920
O5 0.303 0.697 0.250
O6 0.697 0.303 0.750
O7 0.762 0.238 0.080
O8 0.762 0.238 0.420
O9 0.959 0.041 0.651
O10 0.959 0.041 0.849



No. 7
This record from the Materials Project database describes an optimized crystal structure of MgGa4W2O12. The functional is PBE+U.

Summary:
Total magnetization in Bohr magnetons per cell: 2.00
Energy of formation in eV/atom: -2.167
Mass density in g/cm³: 6.89
Energy in eV/atom: -6.477
Calculated volume in Å³/f.u.: 207.94
Space group: No. 3

Unit cell a=4.748 b=9.182 c=4.771 alpha=90.00 beta=90.89 gamma=90.00
Element x y z (fractional)
Mg1 0.000 0.000 0.000
Ga1 0.000 0.032 0.500
Ga2 0.000 0.366 0.500
Ga3 0.500 0.531 0.000
Ga4 0.500 0.849 0.000
W1 0.000 0.690 0.500
W2 0.500 0.203 0.000
O1 0.172 0.866 0.280
O2 0.176 0.184 0.268
O3 0.186 0.528 0.299
O4 0.310 0.696 0.788
O5 0.317 0.362 0.792
O6 0.328 0.027 0.784
O7 0.672 0.027 0.216
O8 0.683 0.362 0.208
O9 0.690 0.696 0.212
O10 0.814 0.528 0.701
O11 0.824 0.184 0.732
O12 0.828 0.866 0.720



No. 8
This record from the Materials Project database describes an optimized crystal structure of LiFeF4. The functional is PBE+U.

Summary:
Total magnetization in Bohr magnetons per cell: 20.00
Energy of formation in eV/atom: -2.758
Mass density in g/cm³: 3.15
Energy in eV/atom: -5.080
Calculated volume in Å³/f.u.: 73.13
Space group: No. 19

Unit cell a=5.782 b=5.952 c=8.500 alpha=90.00 beta=90.00 gamma=90.00
Element x y z (fractional)
Li1 0.026 0.215 0.244
Li2 0.474 0.785 0.744
Li3 0.526 0.285 0.756
Li4 0.974 0.715 0.256
Fe1 0.024 0.593 0.901
Fe2 0.476 0.407 0.401
Fe3 0.524 0.907 0.099
Fe4 0.976 0.093 0.599
F1 0.047 0.926 0.418
F2 0.095 0.851 0.742
F3 0.173 0.495 0.349
F4 0.210 0.779 0.076
F5 0.290 0.221 0.576
F6 0.327 0.505 0.849
F7 0.405 0.149 0.242
F8 0.453 0.074 0.918
F9 0.547 0.574 0.582
F10 0.595 0.649 0.258
F11 0.673 0.005 0.651
F12 0.710 0.721 0.924
F13 0.790 0.279 0.424
F14 0.827 0.995 0.151
F15 0.905 0.351 0.758
F16 0.953 0.426 0.082



No. 9
This record from the Materials Project database describes an optimized crystal structure of Sr7SmFe4Mo4O24. The functional is PBE+U.

Summary:
Total magnetization in Bohr magnetons per cell: 23.00
Energy of formation in eV/atom: -2.559
Mass density in g/cm³: 5.65
Energy in eV/atom: -6.915
Calculated volume in Å³/f.u.: 515.32
Space group: No. 1

Unit cell a=5.633 b=5.678 c=18.749 alpha=97.57 beta=90.44 gamma=119.54
Element x y z (fractional)
Sr1 0.000 0.000 0.000
Sr2 0.116 0.245 0.370
Sr3 0.368 0.749 0.125
Sr4 0.490 0.990 0.498
Sr5 0.620 0.241 0.865
Sr6 0.737 0.497 0.248
Sr7 0.876 0.756 0.636
Sm1 0.226 0.497 0.748
Fe1 0.434 0.872 0.312
Fe2 0.559 0.119 0.691
Fe3 0.680 0.376 0.061
Fe4 0.933 0.870 0.811
Mo1 0.052 0.124 0.185
Mo2 0.182 0.369 0.564
Mo3 0.309 0.624 0.936
Mo4 0.803 0.619 0.435
O1 0.117 0.268 0.876
O2 0.149 0.728 0.385
O3 0.186 0.982 0.253
O4 0.189 0.769 0.865
O5 0.235 0.499 0.246
O6 0.242 0.092 0.742
O7 0.351 0.739 0.627
O8 0.396 0.224 0.131
O9 0.430 0.279 0.609
O10 0.431 0.477 0.009
O11 0.453 0.515 0.486
O12 0.487 0.990 0.996
O13 0.609 0.247 0.373
O14 0.641 0.714 0.891
O15 0.642 0.913 0.757
O16 0.676 0.774 0.359
O17 0.709 0.024 0.236
O18 0.811 0.488 0.750
O19 0.864 0.745 0.121
O20 0.918 0.258 0.112
O21 0.919 0.223 0.639
O22 0.946 0.466 0.514
O23 0.971 0.522 0.987
O24 0.986 0.991 0.502